1.
## Cs2LiTlCl6 (PBE-GGA)

Data for Cs2LiTlCl6 after structural relaxation.

a b c (Å): 7.497 7.497 7.497
angles (deg): 60.00 60.00 60.00
Sites, in units of the cell vectors:
Cs  0.250  0.250  0.250
Cs  0.750  0.750  0.750
Li  0.000  0.000  0.000
Tl  0.500  0.500  0.500
Cl  0.251  0.251  0.749
Cl  0.251  0.749  0.251
Cl  0.251  0.749  0.749
Cl  0.749  0.251  0.251
Cl  0.749  0.251  0.749
Cl  0.749  0.749  0.251

## Properties
crystal system	cubic
ΔH_f (0 K)	-1827	meV per atom

2.
## Mg2PbO4 (PBE-GGA)

Data for Mg2PbO4 after structural relaxation.

a b c (Å): 5.363 9.773 3.187
angles (deg): 90.00 90.00 90.00
Sites, in units of the cell vectors:
Mg  0.054  0.183  0.000
Mg  0.446  0.683  0.000
Mg  0.554  0.317  0.000
Mg  0.946  0.817  0.000
Pb  0.000  0.500  0.500
Pb  0.500  0.000  0.500
O  0.174  0.703  0.500
O  0.235  0.953  0.000
O  0.265  0.453  0.000
O  0.326  0.203  0.500
O  0.674  0.797  0.500
O  0.735  0.547  0.000
O  0.765  0.047  0.000
O  0.826  0.297  0.500

## Properties
crystal system	orthorhombic
ΔH_f (0 K)	-2208	meV per atom

3.
## AlHg3O2F6 (PBE-GGA)

Data for AlHg3O2F6 after structural relaxation.

a b c (Å): 5.535 5.535 5.535
angles (deg): 84.12 84.12 84.12
Sites, in units of the cell vectors:
Al  0.000  0.000  0.000
Hg  0.000  0.500  0.500
Hg  0.500  0.000  0.500
Hg  0.500  0.500  0.000
O  0.374  0.374  0.374
O  0.626  0.626  0.626
F  0.135  0.785  0.785
F  0.215  0.215  0.865
F  0.215  0.865  0.215
F  0.785  0.135  0.785
F  0.785  0.785  0.135
F  0.865  0.215  0.215

## Properties
crystal system	trigonal
ΔH_f (0 K)	-2071	meV per atom

4.
## TeI4 (PBE-GGA)

Data for TeI4 after structural relaxation.

a b c (Å): 17.423 7.548 15.189
angles (deg): 90.00 90.00 90.00
Sites, in units of the cell vectors:
Te  0.000  0.231  0.000
Te  0.000  0.250  0.532
Te  0.140  0.245  0.266
Te  0.360  0.755  0.766
Te  0.500  0.750  0.032
Te  0.500  0.769  0.500
Te  0.640  0.755  0.766
Te  0.860  0.245  0.266
I  0.000  0.011  0.183
I  0.000  0.478  0.351
I  0.000  0.482  0.864
I  0.000  0.994  0.665
I  0.119  0.021  0.933
I  0.119  0.457  0.602
I  0.126  0.474  0.105
I  0.127  0.013  0.426
I  0.246  0.015  0.190
I  0.248  0.471  0.341
I  0.252  0.529  0.841
I  0.254  0.985  0.690
I  0.373  0.987  0.926
I  0.374  0.526  0.605
I  0.381  0.543  0.102
I  0.381  0.979  0.433
I  0.500  0.006  0.165
I  0.500  0.518  0.364
I  0.500  0.522  0.851
I  0.500  0.989  0.683
I  0.619  0.543  0.102
I  0.619  0.979  0.433
I  0.626  0.526  0.605
I  0.627  0.987  0.926
I  0.746  0.985  0.690
I  0.748  0.529  0.841
I  0.752  0.471  0.341
I  0.754  0.015  0.190
I  0.873  0.013  0.426
I  0.874  0.474  0.105
I  0.881  0.021  0.933
I  0.881  0.457  0.602

## Properties
crystal system	orthorhombic
ΔH_f (0 K)	-423	meV per atom
energy above the lowest structure with this stoichiometry	0.01	eV per formula unit